VASP calculation (PBE-GGA) on an optimized crystal structure of KCeSiS4.

As for the electronic total energy: -5.547 eV/atom. For the excess energy over the best structure of this formula in the dataset, the calculation gives 0.0 meV/atom. The total energy after the MP2020 corrections comes out at -5.834 eV/atom.

The structure belongs to space group P2_1 (No. 4); the cell edges are 6.5754, 6.7003 and 8.8251 Å and the angles 90.00°, 107.24° and 90.00°. The distinct sites, in fractional coordinates, are K at (0.2226, 0.0000, 0.4319), Ce at (0.2701, 0.0182, 0.9501), Si at (0.2836, 0.4882, 0.1810), S at (0.0867, 0.4890, 0.3314), S at (0.0982, 0.4485, 0.9385), S at (0.4779, 0.7500, 0.2121) and S at (0.4873, 0.7525, 0.7727).